This record from the Materials Project database describes an optimized crystal structure of CaEu3. The functional is PBE-GGA.

Results
Total energy: -8.178 eV per atom
Calculated volume: 177.4 Å³/cell

a = 6.307 Å, b = 6.307 Å, c = 6.307 Å
α = 60.00°, β = 60.00°, γ = 60.00°
Fractional coordinates of all 4 atoms:
Ca 0.000 0.000 0.000
Eu 0.250 0.250 0.250
Eu 0.750 0.750 0.750
Eu 0.500 0.500 0.500

---

This record from the Materials Project database describes an optimized crystal structure of Rb2TiGe3O9. The functional is PBE-GGA.

Results
Total energy: -6.495 eV per atom
Corrected total energy (MP2020 scheme): -6.907 eV/atom
Calculated volume: 1400.6 Å³/cell

a = 12.289 Å, b = 12.289 Å, c = 10.710 Å
α = 90.00°, β = 90.00°, γ = 120.00°
Fractional coordinates of all 90 atoms:
Rb 0.641 0.646 0.476
Rb 0.646 0.641 0.024
Rb 0.995 0.641 0.524
Rb 0.359 0.005 0.024
Rb 0.354 0.995 0.476
Rb 0.005 0.359 0.476
Rb 0.646 0.005 0.524
Rb 0.005 0.646 0.976
Rb 0.641 0.995 0.976
Rb 0.354 0.359 0.976
Rb 0.995 0.354 0.024
Rb 0.359 0.354 0.524
Ti 0.333 0.667 0.997
Ti 0.000 0.000 0.500
Ti 0.667 0.333 0.503
Ti 0.333 0.667 0.497
Ti 0.667 0.333 0.003
Ti 0.000 0.000 0.000
Ge 0.833 0.286 0.757
Ge 0.547 0.833 0.243
Ge 0.833 0.547 0.257
Ge 0.286 0.833 0.743
Ge 0.714 0.167 0.257
Ge 0.167 0.453 0.743
Ge 0.177 0.177 0.750
Ge 0.453 0.286 0.257
Ge 0.453 0.167 0.757
Ge 0.714 0.547 0.757
Ge 0.286 0.453 0.243
Ge 0.177 0.000 0.250
Ge 0.000 0.177 0.250
Ge 0.823 0.823 0.250
Ge 0.167 0.714 0.243
Ge 0.000 0.823 0.750
Ge 0.823 0.000 0.750
Ge 0.547 0.714 0.743
O 0.618 0.618 0.750
O 0.206 0.873 0.208
O 0.055 0.907 0.889
O 0.206 0.333 0.708
O 0.653 0.199 0.391
O 0.873 0.667 0.792
O 0.774 0.291 0.611
O 0.000 0.618 0.250
O 0.291 0.774 0.889
O 0.482 0.709 0.889
O 0.000 0.382 0.750
O 0.127 0.333 0.208
O 0.945 0.852 0.611
O 0.518 0.291 0.111
O 0.709 0.226 0.111
O 0.226 0.518 0.889
O 0.667 0.794 0.208
O 0.055 0.148 0.389
O 0.148 0.093 0.611
O 0.546 0.199 0.891
O 0.291 0.518 0.389
O 0.618 0.000 0.250
O 0.653 0.454 0.891
O 0.852 0.945 0.889
O 0.709 0.482 0.611
O 0.482 0.774 0.389
O 0.093 0.148 0.889
O 0.454 0.801 0.109
O 0.907 0.852 0.111
O 0.226 0.709 0.389
O 0.801 0.347 0.891
O 0.794 0.127 0.792
O 0.774 0.482 0.111
O 0.333 0.127 0.292
O 0.347 0.546 0.109
O 0.546 0.347 0.391
O 0.852 0.907 0.389
O 0.199 0.546 0.609
O 0.382 0.000 0.750
O 0.907 0.055 0.611
O 0.873 0.206 0.292
O 0.794 0.667 0.292
O 0.382 0.382 0.250
O 0.199 0.653 0.109
O 0.518 0.226 0.611
O 0.127 0.794 0.708
O 0.093 0.945 0.389
O 0.945 0.093 0.111
O 0.454 0.653 0.609
O 0.333 0.206 0.792
O 0.347 0.801 0.609
O 0.148 0.055 0.111
O 0.667 0.873 0.708
O 0.801 0.454 0.391

---

This record from the Materials Project database describes an optimized crystal structure of V2B72C3. The functional is PBE-GGA.

Results
Total energy: -6.896 eV per atom
Calculated volume: 1154.4 Å³/cell

a = 5.027 Å, b = 8.751 Å, c = 26.242 Å
α = 90.00°, β = 90.00°, γ = 90.00°
Fractional coordinates of all 154 atoms:
V 0.500 0.500 0.168
V 0.500 0.500 0.500
V 0.500 0.500 0.832
V 0.000 0.000 0.000
B 0.411 0.415 0.088
B 0.412 0.415 0.422
B 0.412 0.415 0.755
B 0.412 0.585 0.245
B 0.412 0.585 0.578
B 0.411 0.585 0.912
B 0.090 0.920 0.256
B 0.088 0.920 0.590
B 0.089 0.915 0.922
B 0.089 0.085 0.078
B 0.088 0.080 0.410
B 0.090 0.080 0.744
B 0.589 0.585 0.088
B 0.588 0.585 0.422
B 0.588 0.585 0.755
B 0.588 0.415 0.245
B 0.588 0.415 0.578
B 0.589 0.415 0.912
B 0.910 0.080 0.256
B 0.912 0.080 0.590
B 0.911 0.085 0.922
B 0.911 0.915 0.078
B 0.912 0.920 0.410
B 0.910 0.920 0.744
B 0.590 0.735 0.138
B 0.588 0.734 0.472
B 0.587 0.735 0.805
B 0.587 0.265 0.195
B 0.588 0.266 0.528
B 0.590 0.265 0.862
B 0.911 0.230 0.306
B 0.912 0.231 0.640
B 0.911 0.235 0.972
B 0.911 0.765 0.028
B 0.912 0.769 0.360
B 0.911 0.770 0.694
B 0.410 0.265 0.138
B 0.412 0.266 0.472
B 0.413 0.265 0.805
B 0.413 0.735 0.195
B 0.412 0.734 0.528
B 0.410 0.735 0.862
B 0.089 0.770 0.306
B 0.088 0.769 0.640
B 0.089 0.765 0.972
B 0.089 0.235 0.028
B 0.088 0.231 0.360
B 0.089 0.230 0.694
B 0.123 0.377 0.126
B 0.125 0.378 0.459
B 0.126 0.378 0.793
B 0.126 0.622 0.207
B 0.125 0.622 0.541
B 0.123 0.623 0.874
B 0.385 0.877 0.292
B 0.385 0.876 0.626
B 0.377 0.877 0.959
B 0.377 0.123 0.041
B 0.385 0.124 0.374
B 0.385 0.123 0.708
B 0.877 0.623 0.126
B 0.875 0.622 0.459
B 0.874 0.622 0.793
B 0.874 0.378 0.207
B 0.875 0.378 0.541
B 0.877 0.377 0.874
B 0.615 0.123 0.292
B 0.615 0.124 0.626
B 0.623 0.123 0.959
B 0.623 0.877 0.041
B 0.615 0.876 0.374
B 0.615 0.877 0.708
B 0.917 0.257 0.086
B 0.922 0.254 0.418
B 0.921 0.253 0.751
B 0.921 0.747 0.249
B 0.922 0.746 0.582
B 0.917 0.743 0.914
B 0.583 0.758 0.252
B 0.582 0.758 0.586
B 0.583 0.756 0.919
B 0.583 0.244 0.081
B 0.582 0.242 0.414
B 0.583 0.242 0.748
B 0.083 0.743 0.086
B 0.078 0.746 0.418
B 0.079 0.747 0.751
B 0.079 0.253 0.249
B 0.078 0.254 0.582
B 0.083 0.257 0.914
B 0.417 0.242 0.252
B 0.418 0.242 0.586
B 0.417 0.244 0.919
B 0.417 0.756 0.081
B 0.418 0.758 0.414
B 0.417 0.758 0.748
B 0.095 0.417 0.058
B 0.097 0.415 0.391
B 0.096 0.415 0.724
B 0.096 0.585 0.276
B 0.097 0.585 0.609
B 0.095 0.583 0.942
B 0.403 0.917 0.224
B 0.403 0.916 0.558
B 0.405 0.917 0.891
B 0.405 0.083 0.109
B 0.403 0.084 0.442
B 0.403 0.083 0.776
B 0.905 0.583 0.058
B 0.903 0.585 0.391
B 0.904 0.585 0.724
B 0.904 0.415 0.276
B 0.903 0.415 0.609
B 0.905 0.417 0.942
B 0.597 0.083 0.224
B 0.597 0.084 0.558
B 0.595 0.083 0.891
B 0.595 0.917 0.109
B 0.597 0.916 0.442
B 0.597 0.917 0.776
B 0.907 0.826 0.139
B 0.903 0.827 0.472
B 0.901 0.828 0.805
B 0.901 0.172 0.195
B 0.903 0.173 0.528
B 0.907 0.174 0.861
B 0.596 0.327 0.306
B 0.597 0.327 0.639
B 0.595 0.326 0.972
B 0.595 0.674 0.028
B 0.597 0.673 0.361
B 0.596 0.673 0.694
B 0.093 0.174 0.139
B 0.097 0.173 0.472
B 0.099 0.172 0.805
B 0.099 0.828 0.195
B 0.097 0.827 0.528
B 0.093 0.826 0.861
B 0.404 0.673 0.306
B 0.403 0.673 0.639
B 0.405 0.674 0.972
B 0.405 0.326 0.028
B 0.403 0.327 0.361
B 0.404 0.327 0.694
C 0.000 0.500 0.167
C 0.000 0.500 0.500
C 0.000 0.500 0.833
C 0.500 0.000 0.000
C 0.500 0.000 0.333
C 0.500 0.000 0.667

---

| no. | energy relative to the elements (meV/atom) |
| --- | --- |
| 1 | 16 |
| 2 | -2357 |
| 3 | -55 |